[1]
Ba4Ir3O10, optimized geometry, DFT r²SCAN; E_tot = -20.907 eV/atom; space-group type = P2_1/c, No. 14; DFT formation energy = -1918 meV per atom
1.0
13.1938 0.0000 0.0000
0.0000 5.8127 0.0065
0.0000 2.8081 6.7573
O Ba Ir
20 8 6
Direct
0.8492 0.0250 0.9251
0.5407 0.6340 0.2118
0.4740 0.8395 0.7768
0.7276 0.0731 0.2326
0.6511 0.2312 0.5297
0.9593 0.1340 0.2118
0.1508 0.9750 0.0749
0.7724 0.5731 0.2326
0.9740 0.6605 0.2232
0.0260 0.3395 0.7768
0.0407 0.8660 0.7882
0.2724 0.9269 0.7674
0.8489 0.7312 0.5297
0.4593 0.3660 0.7882
0.6508 0.5250 0.9251
0.3489 0.7688 0.4703
0.5260 0.1605 0.2232
0.2276 0.4269 0.7674
0.3492 0.4750 0.0749
0.1511 0.2688 0.4703
0.1372 0.4648 0.0832
0.3628 0.9648 0.0832
0.3885 0.2610 0.4846
0.8628 0.5352 0.9168
0.8885 0.2390 0.5154
0.1115 0.7610 0.4846
0.6372 0.0352 0.9168
0.6115 0.7390 0.5154
0.5000 0.5000 0.0000
0.8500 0.8694 0.2404
0.1500 0.1306 0.7596
0.6500 0.3694 0.2404
0.3500 0.6306 0.7596
0.0000 0.0000 0.0000

[2]
BaCd3Ga, optimized geometry, DFT r²SCAN; E_tot = -19.989 eV/atom; space-group type = I4mm, No. 107; DFT formation energy = -338 meV per atom
1.0
-2.3992 2.3992 5.8410
2.3992 -2.3992 5.8410
2.3992 2.3992 -5.8410
Ga Cd Ba
1 3 1
Direct
0.6215 0.6215 0.0000
0.7435 0.2435 0.5000
0.3878 0.3878 0.0000
0.2435 0.7435 0.5000
0.0038 0.0038 0.0000

[3]
Y3Tm, optimized geometry, DFT r²SCAN; E_tot = -24.017 eV/atom; space-group type = P6_3/mmc, No. 194; DFT formation energy = -1 meV per atom
1.0
-3.1821 -5.5450 3.3708
4.3432 -1.2143 -5.6476
4.5579 -0.4288 3.5974
Y Tm
6 2
Direct
0.1680 0.8322 0.2500
0.3358 0.1679 0.7500
0.8319 0.1678 0.7500
0.8320 0.6643 0.7500
0.1679 0.3357 0.2500
0.6642 0.8322 0.2500
0.6666 0.3331 0.2500
0.3334 0.6669 0.7500

[4]
HfGeRh, optimized geometry, DFT r²SCAN; E_tot = -28.667 eV/atom; space-group type = Pnma, No. 62; DFT formation energy = -947 meV per atom
1.0
2.9802 2.5028 0.7403
3.1811 -4.7349 3.2016
3.3557 -2.0937 -6.4305
Rh Hf Ge
4 4 4
Direct
0.7500 0.8537 0.9323
0.2500 0.1463 0.0678
0.7500 0.3537 0.5677
0.2500 0.6463 0.4322
0.7500 0.9759 0.3081
0.2500 0.0241 0.6918
0.7500 0.4758 0.1918
0.2500 0.5242 0.8082
0.7500 0.2370 0.8847
0.2500 0.2630 0.3848
0.7500 0.7370 0.6152
0.2500 0.7630 0.1153

[5]
Ho2InHg, optimized geometry, DFT r²SCAN; E_tot = -34.998 eV/atom; space-group type = Fm-3m, No. 225; DFT formation energy = -570 meV per atom
1.0
-0.2720 -4.9864 1.5973
-2.4904 -1.1929 4.4570
-4.5745 -2.5571 -0.1566
Ho Hg In
2 1 1
Direct
0.7500 0.7500 0.7500
0.2500 0.2500 0.2500
0.5000 0.5000 0.5000
0.0000 0.0000 0.0000

[6]
IF5, optimized geometry, DFT r²SCAN; E_tot = -8.372 eV/atom; space-group type = C2/c, No. 15; DFT formation energy = -1674 meV per atom
1.0
-2.4806 -5.9413 2.1910
2.0686 0.1033 -7.9328
16.5030 -4.9969 5.1346
F I
50 10
Direct
0.3314 0.4551 0.2783
0.3036 0.6549 0.0766
0.9879 0.0000 0.7500
0.3192 0.2127 0.6976
0.2838 0.1376 0.8399
0.2948 0.9966 0.9911
0.2983 0.0034 0.5089
0.6487 0.3451 0.4234
0.6808 0.7873 0.3024
0.9700 0.6759 0.5100
0.7162 0.8624 0.1601
0.8538 0.1376 0.3399
0.0121 0.0000 0.2500
0.0531 0.6055 0.3726
0.5402 0.4287 0.5814
0.2894 0.7642 0.2186
0.6192 0.0753 0.6303
0.7052 0.0034 0.0089
0.8763 0.5449 0.2217
0.1237 0.4551 0.7783
0.0300 0.3241 0.4900
0.0225 0.8811 0.4116
0.6686 0.5449 0.7217
0.0285 0.7453 0.1221
0.4475 0.3945 0.1274
0.8586 0.8811 0.9116
0.2941 0.3241 0.9900
0.1064 0.7873 0.8024
0.2832 0.2547 0.3779
0.5253 0.2358 0.2814
0.9469 0.3945 0.6274
0.4747 0.7642 0.7186
0.3513 0.6549 0.5766
0.4598 0.5713 0.4186
0.8936 0.2127 0.1976
0.9715 0.2547 0.8779
0.5439 0.9247 0.8697
0.7106 0.2358 0.7814
0.7017 0.9966 0.4911
0.5525 0.6055 0.8726
0.6964 0.3451 0.9234
0.3808 0.9247 0.3697
0.1462 0.8624 0.6601
0.7168 0.7453 0.6221
0.1414 0.1189 0.0884
0.8885 0.4287 0.0814
0.1115 0.5713 0.9186
0.7059 0.6759 0.0100
0.9775 0.1189 0.5884
0.4561 0.0753 0.1303
0.4690 0.5706 0.6545
0.2055 0.7890 0.4469
0.5835 0.7890 0.9469
0.8984 0.4294 0.8455
0.7945 0.2110 0.5531
0.7429 0.0000 0.2500
0.2571 0.0000 0.7500
0.5310 0.4294 0.3455
0.4165 0.2110 0.0531
0.1016 0.5706 0.1545

[7]
HfNi, optimized geometry, DFT r²SCAN; E_tot = -29.083 eV/atom; space-group type = Cmcm, No. 63; DFT formation energy = -517 meV per atom
1.0
3.1254 -0.6751 -0.1674
0.0242 1.0764 -3.8886
2.6304 4.2864 1.2029
Ni Hf
2 2
Direct
0.5843 0.2500 0.8315
0.4157 0.7500 0.1685
0.1390 0.7500 0.7220
0.8610 0.2500 0.2780

[8]
Na2Fe2F7, optimized geometry, DFT r²SCAN; E_tot = -7.973 eV/atom; space-group type = Imm2, No. 44; DFT formation energy = -2715 meV per atom
1.0
-3.6938 3.6878 5.1273
3.6938 -3.6850 5.1253
3.6932 3.6844 -5.1253
F Na Fe
14 4 4
Direct
0.4394 0.8444 0.5952
0.7899 0.5789 0.6317
0.7509 0.1557 0.5953
0.0258 0.0000 0.0260
0.0529 0.4209 0.2110
0.4338 0.3414 0.5128
0.4340 0.9210 0.0925
0.7900 0.1582 0.2111
0.4737 0.3440 0.1297
0.1714 0.0792 0.5129
0.1715 0.6584 0.0923
0.1974 0.5000 0.6971
0.0528 0.8419 0.6319
0.7858 0.6559 0.1298
0.6136 0.7508 0.8628
0.6130 0.7498 0.3628
0.6130 0.2503 0.8632
0.1121 0.2492 0.8629
0.1118 0.2500 0.3618
0.1118 0.7500 0.8618
0.6122 0.2498 0.3625
0.1127 0.7502 0.3625